Record 1
The following is a PBE calculation of a geometry-optimized SmZn2Ag structure, from Materials Project.

Lattice parameters (Å, degrees): 6.8002 6.8002 6.8002 90.00 90.00 90.00
Sites, in units of the cell vectors:
Sm1 0.0000 0.0000 0.0000
Sm2 0.0000 0.5000 0.5000
Sm3 0.5000 0.0000 0.5000
Sm4 0.5000 0.5000 0.0000
Zn1 0.2500 0.2500 0.2500
Zn2 0.2500 0.2500 0.7500
Zn3 0.2500 0.7500 0.2500
Zn4 0.2500 0.7500 0.7500
Zn5 0.7500 0.2500 0.2500
Zn6 0.7500 0.2500 0.7500
Zn7 0.7500 0.7500 0.2500
Zn8 0.7500 0.7500 0.7500
Ag1 0.0000 0.0000 0.5000
Ag2 0.0000 0.5000 0.0000
Ag3 0.5000 0.0000 0.0000
Ag4 0.5000 0.5000 0.5000

Values from the calculation:
Its space group is No. 225. The volume comes out at 78.6 Å³/f.u. Its formation energy is -0.30 eV/atom. As for the crystal system: cubic. The value obtained for the electronic total energy is -2.817 eV per atom.

Record 2
The following is a PBE calculation of a geometry-optimized AgSn3 structure, from Materials Project.

Lattice parameters (Å, degrees): 6.7735 6.7735 5.1556 90.00 90.00 120.00
Sites, in units of the cell vectors:
Ag1 0.3333 0.6667 0.2500
Ag2 0.6667 0.3333 0.7500
Sn1 0.1695 0.3390 0.7500
Sn2 0.1695 0.8305 0.7500
Sn3 0.3390 0.1695 0.2500
Sn4 0.6610 0.8305 0.7500
Sn5 0.8305 0.1695 0.2500
Sn6 0.8305 0.6610 0.2500

Values from the calculation:
For the size of the total moment, the calculation gives 0.00 μB per cell. Its space group is No. 194. The volume comes out at 102.4 Å³/f.u. Its formation energy is 0.11 eV/atom. As for the crystal system: hexagonal. The value obtained for the electronic total energy is -3.610 eV per atom.

Record 3
The following is a PBE calculation of a geometry-optimized TbAgSn structure, from Materials Project.

Lattice parameters (Å, degrees): 4.7520 4.7520 7.4406 90.00 90.00 120.00
Sites, in units of the cell vectors:
Tb1 0.0000 0.0000 0.0000
Tb2 0.0000 0.0000 0.5000
Ag1 0.3333 0.6667 0.1881
Ag2 0.6667 0.3333 0.6881
Sn1 0.3333 0.6667 0.7798
Sn2 0.6667 0.3333 0.2798

Values from the calculation:
Its space group is No. 186. The volume comes out at 72.8 Å³/f.u. Its formation energy is -0.60 eV/atom. As for the crystal system: hexagonal. The value obtained for the electronic total energy is -4.429 eV per atom.

Record 4
The following is a PBE calculation of a geometry-optimized TbAgSn structure, from Materials Project.

Lattice parameters (Å, degrees): 4.8460 4.8460 7.4775 90.00 90.00 120.00
Sites, in units of the cell vectors:
Tb1 0.0000 0.0000 0.2287
Tb2 0.0000 0.0000 0.7713
Ag1 0.3333 0.6667 0.9737
Ag2 0.6667 0.3333 0.0263
Sn1 0.3333 0.6667 0.5588
Sn2 0.6667 0.3333 0.4412

Values from the calculation:
For the size of the total moment, the calculation gives 0.00 μB per cell. Its space group is No. 164. The volume comes out at 76.0 Å³/f.u. Its formation energy is -0.31 eV/atom. As for the crystal system: trigonal. The value obtained for the electronic total energy is -4.135 eV per atom.

Record 5
The following is a PBE calculation of a geometry-optimized TbAgSn structure, from Materials Project.

Lattice parameters (Å, degrees): 4.8269 4.8269 3.5386 90.00 90.00 120.00
Sites, in units of the cell vectors:
Tb1 0.0000 0.0000 0.0000
Ag1 0.3333 0.6667 0.5000
Sn1 0.6667 0.3333 0.5000

Values from the calculation:
For the size of the total moment, the calculation gives 0.00 μB per cell. Its space group is No. 187. The volume comes out at 71.4 Å³/f.u. Its formation energy is -0.54 eV/atom. As for the crystal system: hexagonal. The value obtained for the electronic total energy is -4.367 eV per atom.

Record 6
The following is a PBE calculation of a geometry-optimized TbAgSn structure, from Materials Project.

Lattice parameters (Å, degrees): 5.1316 5.1316 3.2880 90.00 90.00 120.00
Sites, in units of the cell vectors:
Tb1 0.0000 0.0000 0.0000
Ag1 0.6667 0.3333 0.0000
Sn1 0.3333 0.6667 0.5000

Values from the calculation:
For the size of the total moment, the calculation gives 0.00 μB per cell. Its space group is No. 187. The volume comes out at 75.0 Å³/f.u. Its formation energy is -0.16 eV/atom. As for the crystal system: hexagonal. The value obtained for the electronic total energy is -3.983 eV per atom.

Record 7
The following is a PBE calculation of a geometry-optimized TmAgSn structure, from Materials Project.

Lattice parameters (Å, degrees): 7.3587 7.3587 4.4763 90.00 90.00 120.00
Sites, in units of the cell vectors:
Tm1 0.0000 0.5693 0.0000
Tm2 0.4307 0.4307 0.0000
Tm3 0.5693 0.0000 0.0000
Ag1 0.0000 0.2468 0.5000
Ag2 0.2468 0.0000 0.5000
Ag3 0.7532 0.7532 0.5000
Sn1 0.0000 0.0000 0.0000
Sn2 0.3333 0.6667 0.5000
Sn3 0.6667 0.3333 0.5000

Values from the calculation:
Its space group is No. 189. The volume comes out at 70.0 Å³/f.u. Its formation energy is -0.54 eV/atom. As for the crystal system: hexagonal. The value obtained for the electronic total energy is -4.314 eV per atom.

Record 8
The following is a PBE calculation of a geometry-optimized TmAgSn structure, from Materials Project.

Lattice parameters (Å, degrees): 4.7151 4.7151 7.3353 90.00 90.00 120.00
Sites, in units of the cell vectors:
Tm1 0.0000 0.0000 0.0000
Tm2 0.0000 0.0000 0.5000
Ag1 0.3333 0.6667 0.1831
Ag2 0.6667 0.3333 0.6831
Sn1 0.3333 0.6667 0.7786
Sn2 0.6667 0.3333 0.2786

Values from the calculation:
Its space group is No. 186. The volume comes out at 70.6 Å³/f.u. Its formation energy is -0.55 eV/atom. As for the crystal system: hexagonal. The value obtained for the electronic total energy is -4.325 eV per atom.

Record 9
The following is a PBE calculation of a geometry-optimized Y3Ag4Sn4 structure, from Materials Project.

Lattice parameters (Å, degrees): 8.8007 8.8007 8.8007 149.60 130.37 59.32
Sites, in units of the cell vectors:
Y1 0.0000 0.0000 0.0000
Y2 0.3720 0.8720 0.5000
Y3 0.6280 0.1280 0.5000
Ag1 0.0262 0.3285 0.6977
Ag2 0.3692 0.6715 0.6977
Ag3 0.6308 0.3285 0.3023
Ag4 0.9738 0.6715 0.3023
Sn1 0.2142 0.2142 0.0000
Sn2 0.3044 0.5000 0.8044
Sn3 0.6956 0.5000 0.1956
Sn4 0.7858 0.7858 0.0000

Values from the calculation:
For the size of the total moment, the calculation gives 0.00 μB per cell. Its space group is No. 71. The volume comes out at 260.7 Å³/f.u. Its formation energy is -0.50 eV/atom. As for the crystal system: orthorhombic. The value obtained for the electronic total energy is -4.755 eV per atom.

Record 10
The following is a PBE calculation of a geometry-optimized YAgSn structure, from Materials Project.

Lattice parameters (Å, degrees): 4.7482 4.7482 7.4356 90.00 90.00 120.00
Sites, in units of the cell vectors:
Y1 0.0000 0.0000 0.0000
Y2 0.0000 0.0000 0.5000
Ag1 0.3333 0.6667 0.1887
Ag2 0.6667 0.3333 0.6887
Sn1 0.3333 0.6667 0.7802
Sn2 0.6667 0.3333 0.2802

Values from the calculation:
Its space group is No. 186. The volume comes out at 72.6 Å³/f.u. Its formation energy is -0.61 eV/atom. As for the crystal system: hexagonal. The value obtained for the electronic total energy is -5.049 eV per atom.

Record 11
The following is a PBE calculation of a geometry-optimized YAgSn2 structure, from Materials Project.

Lattice parameters (Å, degrees): 4.6532 4.6532 4.4317 90.00 90.00 90.00
Sites, in units of the cell vectors:
Y1 0.0000 0.0000 0.0000
Ag1 0.5000 0.5000 0.0000
Sn1 0.0000 0.5000 0.5000
Sn2 0.5000 0.0000 0.5000

Values from the calculation:
Its space group is No. 123. The volume comes out at 96.0 Å³/f.u. Its formation energy is -0.45 eV/atom. As for the crystal system: tetragonal. The value obtained for the electronic total energy is -4.781 eV per atom.

Record 12
The following is a PBE calculation of a geometry-optimized Sr3Ag2 structure, from Materials Project.

Lattice parameters (Å, degrees): 8.5189 8.5189 8.5189 72.04 72.04 72.04
Sites, in units of the cell vectors:
Sr1 0.0000 0.0000 0.0000
Sr2 0.1639 0.6627 0.3914
Sr3 0.2056 0.2056 0.2056
Sr4 0.3373 0.6086 0.8361
Sr5 0.3914 0.1639 0.6627
Sr6 0.6086 0.8361 0.3373
Sr7 0.6627 0.3913 0.1639
Sr8 0.7944 0.7944 0.7944
Sr9 0.8361 0.3373 0.6086
Ag1 0.0413 0.4111 0.8577
Ag2 0.1423 0.9587 0.5889
Ag3 0.4111 0.8577 0.0413
Ag4 0.5889 0.1423 0.9587
Ag5 0.8577 0.0413 0.4111
Ag6 0.9587 0.5889 0.1423

Values from the calculation:
Its space group is No. 148. The volume comes out at 181.2 Å³/f.u. Its formation energy is -0.27 eV/atom. As for the crystal system: trigonal. The value obtained for the electronic total energy is -2.414 eV per atom.

- Which of these has the highest volume?
  Y3Ag4Sn4